# 1
Entry from the Materials Project database: an optimized crystal structure of CsB6Br6 (r2SCAN).

Structure (CIF):
```
data_CsB6Br6
_chemical_formula_sum 'Cs4 B24 Br24'
_symmetry_space_group_name_H-M 'P 1'
_symmetry_Int_Tables_number 1
_cell_length_a 17.0328
_cell_length_b 17.0328
_cell_length_c 17.0328
_cell_angle_alpha 34.17
_cell_angle_beta 34.17
_cell_angle_gamma 34.17
loop_
_symmetry_equiv_pos_as_xyz
'x,y,z'
loop_
_atom_site_label
_atom_site_fract_x
_atom_site_fract_y
_atom_site_fract_z
Br1 0.1031 0.8194 0.2582
Br2 0.8815 0.3844 0.1879
Br3 0.3005 0.0563 0.5973
Br4 0.9437 0.4027 0.6995
Br5 0.8194 0.2582 0.1031
Br6 0.0563 0.5973 0.3005
Br7 0.3767 0.8065 0.4979
Br8 0.4979 0.3767 0.8065
Br9 0.8121 0.1185 0.6156
Br10 0.8969 0.1806 0.7418
Br11 0.5973 0.3005 0.0563
Br12 0.1806 0.7418 0.8969
Br13 0.7418 0.8969 0.1806
Br14 0.2582 0.1031 0.8194
Br15 0.1935 0.5021 0.6233
Br16 0.1185 0.6156 0.8121
Br17 0.1879 0.8815 0.3844
Br18 0.3844 0.1879 0.8815
Br19 0.6233 0.1935 0.5021
Br20 0.4027 0.6995 0.9437
Br21 0.8065 0.4979 0.3767
Br22 0.6995 0.9437 0.4027
Br23 0.6156 0.8121 0.1185
Br24 0.5021 0.6233 0.1935
Cs1 0.3733 0.3733 0.3733
Cs2 0.7913 0.7913 0.7913
Cs3 0.2087 0.2087 0.2087
Cs4 0.6267 0.6267 0.6267
B1 0.8804 0.9515 0.0837
B2 0.3214 0.5542 0.6444
B3 0.4458 0.3556 0.6786
B4 0.1401 0.0266 0.8132
B5 0.0266 0.8132 0.1401
B6 0.5542 0.6444 0.3214
B7 0.8132 0.1401 0.0266
B8 0.1196 0.0485 0.9163
B9 0.3574 0.5016 0.5570
B10 0.4984 0.4430 0.6426
B11 0.6444 0.3214 0.5542
B12 0.5570 0.3574 0.5016
B13 0.3556 0.6786 0.4458
B14 0.8599 0.9734 0.1868
B15 0.5016 0.5570 0.3574
B16 0.0837 0.8804 0.9515
B17 0.9163 0.1196 0.0485
B18 0.4430 0.6426 0.4984
B19 0.6426 0.4984 0.4430
B20 0.9515 0.0837 0.8804
B21 0.0485 0.9163 0.1196
B22 0.6786 0.4458 0.3556
B23 0.1868 0.8599 0.9734
B24 0.9734 0.1868 0.8599
```

Output
Total magnetization: 0.0 μB/f.u.
Energy of formation from the pure elements: -0.792 eV/atom
Raw total energy: -12.23 eV per atom

# 2
Entry from the Materials Project database: an optimized crystal structure of ErAl7Au3 (r2SCAN).

Structure (CIF):
```
data_ErAl7Au3
_chemical_formula_sum 'Er2 Al14 Au6'
_symmetry_space_group_name_H-M 'P 1'
_symmetry_Int_Tables_number 1
_cell_length_a 8.3693
_cell_length_b 8.3693
_cell_length_c 8.3693
_cell_angle_alpha 57.31
_cell_angle_beta 57.31
_cell_angle_gamma 57.31
loop_
_symmetry_equiv_pos_as_xyz
'x,y,z'
loop_
_atom_site_label
_atom_site_fract_x
_atom_site_fract_y
_atom_site_fract_z
Al1 0.0683 0.6678 0.8529
Al2 0.3529 0.1678 0.5683
Al3 0.9317 0.3322 0.1471
Al4 0.5683 0.3529 0.1678
Al5 0.4317 0.6471 0.8322
Al6 0.3322 0.1471 0.9317
Al7 0.1678 0.5683 0.3529
Al8 0.2500 0.2500 0.2500
Al9 0.1471 0.9317 0.3322
Al10 0.8529 0.0683 0.6678
Al11 0.7500 0.7500 0.7500
Al12 0.6678 0.8529 0.0683
Al13 0.8322 0.4317 0.6471
Al14 0.6471 0.8322 0.4317
Au1 0.4249 0.7500 0.0751
Au2 0.5751 0.2500 0.9249
Au3 0.9249 0.5751 0.2500
Au4 0.2500 0.9249 0.5751
Au5 0.0751 0.4249 0.7500
Au6 0.7500 0.0751 0.4249
Er1 0.0000 0.0000 0.0000
Er2 0.5000 0.5000 0.5000
```

Output
Total magnetization: 0.0 μB/f.u.
Energy of formation from the pure elements: -0.563 eV/atom
Raw total energy: -21.73 eV per atom

# 3
Entry from the Materials Project database: an optimized crystal structure of K2SiAs2 (r2SCAN).

Structure (CIF):
```
data_K2SiAs2
_chemical_formula_sum 'K4 Si2 As4'
_symmetry_space_group_name_H-M 'P 1'
_symmetry_Int_Tables_number 1
_cell_length_a 6.3602
_cell_length_b 7.0089
_cell_length_c 8.1702
_cell_angle_alpha 115.40
_cell_angle_beta 112.91
_cell_angle_gamma 90.00
loop_
_symmetry_equiv_pos_as_xyz
'x,y,z'
loop_
_atom_site_label
_atom_site_fract_x
_atom_site_fract_y
_atom_site_fract_z
As1 0.8996 0.5660 0.7993
As2 0.1004 0.4340 0.2007
As3 0.3996 0.2333 0.7993
As4 0.6004 0.7667 0.2007
K1 0.6434 0.3078 0.2867
K2 0.1434 0.9789 0.2867
K3 0.3566 0.6922 0.7133
K4 0.8566 0.0211 0.7133
Si1 0.7500 0.5000 0.0000
Si2 0.2500 0.5000 0.0000
```

Output
Total magnetization: 0.0 μB/f.u.
Energy of formation from the pure elements: -0.583 eV/atom
Raw total energy: -10.63 eV per atom